Density functional theory data (GGA-PBE) for a relaxed structure of CaH2.

Calculated values
ΔH_f (0 K): -618 meV/atom
MP2020-corrected energy: -3.548 eV per atom

Structure (POSCAR):
```
CaH2
1.0
1.074 1.712 -3.236
-3.470 0.655 1.443
1.944 4.099 2.814
H Ca
4 2
direct
0.667 0.333 0.250
0.000 0.000 0.000
0.333 0.667 0.750
0.000 0.000 0.500
0.333 0.667 0.250
0.667 0.333 0.750
```

***

Density functional theory data (GGA-PBE) for a relaxed structure of CaH3.

Calculated values
ΔH_f (0 K): -201 meV/atom
MP2020-corrected energy: -3.247 eV per atom

Structure (POSCAR):
```
CaH3
1.0
1.167 -3.386 -1.045
-1.806 -3.043 1.182
-2.028 -2.015 -2.397
H Ca
3 1
direct
0.000 0.000 0.000
0.750 0.750 0.750
0.250 0.250 0.250
0.500 0.500 0.500
```